Material: SnGe2O6
Method: DFT, PBE-GGA
State: relaxed

```
data_SnGe2O6
_space_group_name_H-M_alt 'P 1 21/c 1'
_space_group_IT_number 14
_cell_length_a 10.017
_cell_length_b 9.161
_cell_length_c 5.632
_cell_angle_alpha 90.00
_cell_angle_beta 104.86
_cell_angle_gamma 90.00
loop_
_space_group_symop_operation_xyz
'x,y,z'
'-x,-y,-z'
'-x,y+1/2,-z+1/2'
'x,-y+1/2,z+1/2'
loop_
_atom_site_label
_atom_site_fract_x
_atom_site_fract_y
_atom_site_fract_z
_atom_site_occupancy
Sn1 0.249 0.145 0.493 1
Ge1 0.051 0.665 0.820 1
Ge2 0.454 0.663 0.189 1
O1 0.104 0.013 0.289 1
O2 0.112 0.713 0.131 1
O3 0.137 0.181 0.761 1
O4 0.359 0.181 0.223 1
O5 0.385 0.745 0.904 1
O6 0.407 0.021 0.683 1
```

Output
- Uncorrected energy: -228.9 eV/cell